(A)
DFT (PBE with a Hubbard U) results for a geometry-optimized MgBi4W2O12 structure.

```
MgBi4W2O12
1.0
8.817 -2.889 0.000
8.817 2.889 0.000
-0.076 0.000 5.600
Mg Bi W O
1 4 2 12
direct
0.000 0.000 0.000
0.015 0.349 0.028
0.166 0.485 0.541
0.515 0.834 0.459
0.651 0.985 0.972
0.492 0.508 0.000
0.988 0.012 0.500
0.104 0.095 0.364
0.201 0.737 0.237
0.263 0.799 0.763
0.369 0.128 0.728
0.373 0.122 0.230
0.396 0.398 0.879
0.602 0.604 0.121
0.728 0.210 0.231
0.790 0.272 0.769
0.872 0.631 0.272
0.878 0.627 0.770
0.905 0.896 0.636
```



(B)
DFT (PBE with a Hubbard U) results for a geometry-optimized MgBi4W2O12 structure.

```
MgBi4W2O12
1.0
5.557 0.000 0.000
-0.016 5.601 0.000
-0.735 -2.681 9.229
Mg Bi W O
1 4 2 12
direct
0.000 0.000 0.000
0.126 0.905 0.694
0.462 0.463 0.851
0.530 0.121 0.127
0.947 0.606 0.146
0.046 0.189 0.442
0.543 0.680 0.449
0.146 0.266 0.661
0.201 0.696 0.973
0.249 0.891 0.428
0.272 0.153 0.926
0.328 0.390 0.413
0.481 0.772 0.665
0.583 0.559 0.232
0.719 0.772 0.000
0.762 0.264 0.990
0.773 0.948 0.472
0.833 0.456 0.474
0.964 0.076 0.221
```



(C)
DFT (PBE with a Hubbard U) results for a geometry-optimized MgBi4W2O12 structure.

```
MgBi4W2O12
1.0
3.910 0.000 0.000
-0.003 8.040 0.000
-1.920 -1.874 8.519
Mg Bi W O
1 4 2 12
direct
0.000 0.000 0.000
0.180 0.073 0.352
0.181 0.598 0.356
0.819 0.402 0.644
0.820 0.927 0.648
0.484 0.289 0.969
0.516 0.711 0.031
0.018 0.752 0.035
0.241 0.369 0.480
0.252 0.876 0.505
0.379 0.165 0.755
0.427 0.504 0.853
0.444 0.865 0.884
0.556 0.135 0.116
0.573 0.496 0.147
0.621 0.835 0.245
0.748 0.124 0.495
0.759 0.631 0.520
0.982 0.248 0.965
```



Stability, lowest: (C)